Record 1
Computed, not measured: a geometry-optimized Cs5NaW4N10 structure at the PBE level of DFT.

a b c (Å): 14.242 14.242 8.956
angles (deg): 90.00 90.00 90.00
Space group I4_1 (No. 80)
Unique sites:
Cs1 0.000 0.000 0.000 [4 per cell]
Cs2 0.097 0.180 0.695 [8 per cell]
Cs3 0.108 0.673 0.538 [8 per cell]
Na1 0.000 0.000 0.494 [4 per cell]
W1 0.103 0.212 0.231 [8 per cell]
W2 0.106 0.700 0.014 [8 per cell]
N1 0.012 0.274 0.107 [8 per cell]
N2 0.052 0.120 0.339 [8 per cell]
N3 0.088 0.608 0.882 [8 per cell]
N4 0.156 0.807 0.914 [8 per cell]
N5 0.157 0.302 0.360 [8 per cell]



Record 2
Computed, not measured: a geometry-optimized CsOsN2 structure at the PBE level of DFT.

a b c (Å): 13.844 13.844 8.504
angles (deg): 90.00 90.00 90.00
Space group I4_1/a (No. 88, origin choice 2)
Unique sites:
Cs1 0.000 0.250 0.125 [4 per cell]
Cs2 0.101 0.050 0.376 [16 per cell]
Os1 0.000 0.250 0.625 [4 per cell]
Os2 0.100 0.049 0.874 [16 per cell]
N1 0.000 0.000 0.000 [8 per cell]
N2 0.049 0.148 0.748 [16 per cell]
N3 0.154 0.452 0.251 [16 per cell]



Record 3
Computed, not measured: a geometry-optimized CsOsN2 structure at the PBE level of DFT.

a b c (Å): 13.226 13.226 9.270
angles (deg): 90.00 90.00 90.00
Space group I4_1/a (No. 88, origin choice 2)
Unique sites:
Cs1 0.000 0.250 0.125 [4 per cell]
Cs2 0.100 0.051 0.376 [16 per cell]
Os1 0.000 0.250 0.625 [4 per cell]
Os2 0.100 0.050 0.875 [16 per cell]
N1 0.000 0.000 0.000 [8 per cell]
N2 0.049 0.150 0.750 [16 per cell]
N3 0.150 0.450 0.251 [16 per cell]



Record 4
Computed, not measured: a geometry-optimized Cs3P6N11 structure at the PBE level of DFT.

a b c (Å): 10.768 10.768 10.768
angles (deg): 90.00 90.00 90.00
Space group P4_132 (No. 213)
Unique sites:
Cs1 0.020 0.480 0.520 [8 per cell]
Cs2 0.125 0.625 0.875 [4 per cell]
P1 0.042 0.449 0.182 [24 per cell]
N1 0.008 0.334 0.275 [24 per cell]
N2 0.058 0.942 0.442 [8 per cell]
N3 0.068 0.875 0.682 [12 per cell]



Record 5
Computed, not measured: a geometry-optimized CsRbN structure at the PBE level of DFT.

a b c (Å): 7.368 7.368 7.368
angles (deg): 90.00 90.00 90.00
Space group F-43m (No. 216)
Unique sites:
Cs1 0.000 0.000 0.000 [4 per cell]
Rb1 0.000 0.000 0.500 [4 per cell]
N1 0.250 0.250 0.250 [4 per cell]



Record 6
Computed, not measured: a geometry-optimized Cs3Re2N5 structure at the PBE level of DFT.

a b c (Å): 14.107 14.107 9.822
angles (deg): 90.00 90.00 90.00
Space group I4_1 (No. 80)
Unique sites:
Cs1 0.000 0.000 0.000 [4 per cell]
Cs2 0.000 0.000 0.493 [4 per cell]
Cs3 0.071 0.271 0.950 [8 per cell]
Cs4 0.075 0.757 0.291 [8 per cell]
Re1 0.115 0.789 0.679 [8 per cell]
Re2 0.123 0.304 0.557 [8 per cell]
N1 0.001 0.735 0.611 [8 per cell]
N2 0.094 0.887 0.787 [8 per cell]
N3 0.097 0.122 0.198 [8 per cell]
N4 0.175 0.195 0.462 [8 per cell]
N5 0.178 0.690 0.780 [8 per cell]

Calculated values
Largest piezoelectric modulus in C/m2: 0.248



Record 7
Computed, not measured: a geometry-optimized Cs6ReN4 structure at the PBE level of DFT.

a b c (Å): 9.147 9.147 8.588
angles (deg): 90.00 90.00 90.00
Space group P4_2/nmc (No. 137, origin choice 2)
Unique sites:
Cs1 0.027 0.527 0.250 [8 per cell]
Cs2 0.250 0.250 0.015 [4 per cell]
Re1 0.250 0.750 0.750 [2 per cell]
N1 0.079 0.750 0.868 [8 per cell]



Record 8
Computed, not measured: a geometry-optimized CsReN2 structure at the PBE level of DFT.

a b c (Å): 8.577 6.203 12.359
angles (deg): 90.00 90.00 90.00
Space group Pbcm (No. 57)
Unique sites:
Cs1 0.123 0.184 0.250 [4 per cell]
Cs2 0.374 0.250 0.000 [4 per cell]
Re1 0.125 0.750 0.000 [4 per cell]
Re2 0.376 0.710 0.250 [4 per cell]
N1 0.000 0.000 0.000 [4 per cell]
N2 0.252 0.733 0.125 [8 per cell]
N3 0.484 0.055 0.750 [4 per cell]



Result set for DFT formation energy: -0.6718 -0.0609 -0.0626 -0.7919 0.6421 -0.4158 -0.0892 -0.3788 eV per atom, one per record in the order listed.